Entry from the Materials Project: a relaxed LiCuP3O9 crystal (PBE).

The calculation puts the excess energy over the best structure of this formula in the dataset at 0.0020 eV/atom. Its calculated volume is 12.6 A^3/atom. Its formation enthalpy at 0 K is -2401 meV per atom. The density comes out at 2.90 g/cm3. The calculation puts the uncorrected energy at -6.730 eV per atom. Its crystal system is triclinic.

a b c (Å): 9.5913 9.6052 9.6271
angles (deg): 105.86 106.86 112.68
Closest atoms and distances in Å follow each position.
Space group P-1 (No. 2)
Inequivalent atoms, fractional coordinates:
Li  0.1382  0.3331  0.1812 (multiplicity 2)  5 O 2.06-2.29
Li  0.1523  0.5683  0.0013 (multiplicity 2)  5 O 2.00-2.15
Cu  0.2419  0.7304  0.7818 (multiplicity 2)  4 O 1.95-1.99
Cu  0.3976  0.2071  0.2863 (multiplicity 2)  4 O 1.94-2.01
P  0.0128  0.6483  0.3993 (multiplicity 2)  4 O 1.49-1.60
P  0.0759  0.8356  0.2042 (multiplicity 2)  4 O 1.48-1.62
P  0.1832  0.0695  0.9112 (multiplicity 2)  4 O 1.49-1.62
P  0.3128  0.4163  0.5764 (multiplicity 2)  4 O 1.49-1.61
P  0.4533  0.7128  0.3436 (multiplicity 2)  4 O 1.50-1.63
P  0.4867  0.1049  0.8533 (multiplicity 2)  4 O 1.51-1.60
O  0.0057  0.6763  0.0567 (multiplicity 2)  1 P 1.51
O  0.0623  0.5144  0.7501 (multiplicity 2)  1 P 1.53
O  0.0668  0.1148  0.7955 (multiplicity 2)  2 P 1.61
O  0.1046  0.8847  0.8582 (multiplicity 2)  1 P 1.49
O  0.1082  0.8018  0.3630 (multiplicity 2)  2 P 1.60-1.62
O  0.1341  0.6727  0.5532 (multiplicity 2)  1 P 1.49
O  0.1350  0.3223  0.5811 (multiplicity 2)  2 P 1.60-1.61
O  0.2356  0.9824  0.2415 (multiplicity 2)  1 P 1.48
O  0.2380  0.1870  0.0836 (multiplicity 2)  1 P 1.52
O  0.2867  0.3700  0.4058 (multiplicity 2)  1 P 1.49
O  0.2884  0.5730  0.2054 (multiplicity 2)  1 P 1.50
O  0.3413  0.1397  0.8702 (multiplicity 2)  2 P 1.60-1.62
O  0.3453  0.7564  0.0057 (multiplicity 2)  1 P 1.52
O  0.3955  0.3225  0.6547 (multiplicity 2)  2 P 1.61
O  0.4070  0.5988  0.6973 (multiplicity 2)  1 P 1.52
O  0.4446  0.9284  0.8251 (multiplicity 2)  1 P 1.51
O  0.4604  0.7694  0.5079 (multiplicity 2)  1 P 1.50
O  0.4846  0.1240  0.6936 (multiplicity 2)  2 P 1.59-1.63